Entry 1:
Below is a relaxed MnP2O5 crystal, with properties calculated at the PBE+U level.

a b c (Å): 11.6540 7.7926 15.4111
angles (deg): 90.00 119.90 90.00
Closest atoms and distances in Å follow each position.
Space group P2_1/c (No. 14)
One atom of each set of equivalent atoms:
Mn: 0.1533 0.1104 0.1828 (multiplicity 4)  5 O 1.98-2.17
Mn: 0.3206 0.2358 0.9547 (multiplicity 4)  2 O 1.62-1.63
P: 0.0315 0.0467 0.7327 (multiplicity 4)  2 O 1.52-1.54
P: 0.1430 0.7325 0.5437 (multiplicity 4)  2 O 1.51-1.53
P: 0.3642 0.6777 0.8644 (multiplicity 4)  2 O 1.52-1.53
P: 0.4196 0.1636 0.7773 (multiplicity 4)  2 O 1.51-1.54
O: 0.0051 0.7178 0.4549 (multiplicity 4)  1 P 1.51
O: 0.0131 0.5329 0.6898 (multiplicity 4)  1 P 1.52
O: 0.1250 0.2029 0.7613 (multiplicity 4)  1 P 1.54
O: 0.1915 0.5879 0.6214 (multiplicity 4)  1 P 1.53
O: 0.2170 0.1314 0.4601 (multiplicity 4)  1 Mn 1.62
O: 0.3018 0.5010 0.8331 (multiplicity 4)  1 P 1.52
O: 0.3025 0.2457 0.1887 (multiplicity 4)  1 P 1.54
O: 0.3081 0.0323 0.9733 (multiplicity 4)  1 Mn 1.63
O: 0.4199 0.1676 0.8752 (multiplicity 4)  1 P 1.51
O: 0.4889 0.1649 0.5571 (multiplicity 4)  1 P 1.53

Computed properties:
The calculation puts the energy relative to the elements at -162.8 kJ per mole of atoms. Its crystal system is monoclinic.

---

Entry 2:
Below is a relaxed Mn2P2O7 crystal, with properties calculated at the PBE+U level.

a b c (Å): 6.7158 8.7012 4.6070
angles (deg): 90.00 102.73 90.00
Closest atoms and distances in Å follow each position.
Space group C2 (No. 5)
One atom of each set of equivalent atoms:
Mn: 0.0000 0.0000 0.0000 (multiplicity 2)  6 O 2.17-2.36
Mn: 0.0000 0.3791 0.0000 (multiplicity 2)  6 O 2.16-2.33
P: 0.2152 0.6910 0.4074 (multiplicity 4)  4 O 1.54-1.60
O: 0.0000 0.6967 0.5000 (multiplicity 2)  2 P 1.60
O: 0.1280 0.1893 0.2945 (multiplicity 4)  1 P 1.54
O: 0.2216 0.5439 0.2254 (multiplicity 4)  1 P 1.54
O: 0.2266 0.8376 0.2250 (multiplicity 4)  1 P 1.54

Computed properties:
The calculation puts the energy relative to the elements at -249.1 kJ per mole of atoms. Its crystal system is monoclinic.

---

Entry 3:
Below is a relaxed Mn4P3O12 crystal, with properties calculated at the PBE+U level.

a b c (Å): 7.7537 8.2090 9.7317
angles (deg): 109.97 112.96 93.60
Closest atoms and distances in Å follow each position.
Space group P-1 (No. 2)
One atom of each set of equivalent atoms:
Mn: 0.0266 0.2980 0.4565 (multiplicity 2)  5 O 2.02-2.21
Mn: 0.2705 0.4206 0.9317 (multiplicity 2)  5 O 2.03-2.22
Mn: 0.2796 0.0335 0.9311 (multiplicity 2)  5 O 2.08-2.23
Mn: 0.3155 0.1173 0.3047 (multiplicity 2)  5 O 1.95-2.16
P: 0.0163 0.7525 0.9341 (multiplicity 2)  4 O 1.51-1.60
P: 0.2950 0.0480 0.6128 (multiplicity 2)  4 O 1.53-1.58
P: 0.4020 0.6425 0.7510 (multiplicity 2)  4 O 1.53-1.57
O: 0.0611 0.2118 0.2287 (multiplicity 2)  1 P 1.60
O: 0.0783 0.5779 0.9048 (multiplicity 2)  1 P 1.51
O: 0.1408 0.2444 0.0038 (multiplicity 2)  1 P 1.55
O: 0.1577 0.8647 0.5211 (multiplicity 2)  1 P 1.53
O: 0.1856 0.5588 0.6263 (multiplicity 2)  1 P 1.57
O: 0.1858 0.9182 0.0586 (multiplicity 2)  1 P 1.57
O: 0.2479 0.1592 0.5040 (multiplicity 2)  1 P 1.58
O: 0.2700 0.1532 0.7701 (multiplicity 2)  1 P 1.57
O: 0.4246 0.8367 0.8704 (multiplicity 2)  1 P 1.57
O: 0.4620 0.5296 0.8558 (multiplicity 2)  1 P 1.56
O: 0.4705 0.3464 0.3334 (multiplicity 2)  1 P 1.53
O: 0.4948 0.9638 0.3444 (multiplicity 2)  1 P 1.54

Computed properties:
Its relative energy among the computed polymorphs is 4.0 meV per atom. The calculation puts the energy relative to the elements at -239.8 kJ per mole of atoms. Its crystal system is triclinic.

---

Entry 4:
Below is a relaxed Mn3P4O16 crystal, with properties calculated at the PBE+U level.

a b c (Å): 7.4934 8.7824 12.8943
angles (deg): 85.47 89.06 89.69
Closest atoms and distances in Å follow each position.
Space group P1 (No. 1)
One atom of each set of equivalent atoms:
Mn: 0.0000 0.0000 0.0000 (multiplicity 1)  5 O 1.87-1.91
Mn: 0.0095 0.3555 0.6790 (multiplicity 1)  5 O 1.87-1.90
Mn: 0.1529 0.4141 0.0131 (multiplicity 1)  5 O 1.79-1.93
Mn: 0.3729 0.5764 0.3505 (multiplicity 1)  4 O 1.80-1.96
Mn: 0.4737 0.8378 0.6681 (multiplicity 1)  5 O 1.84-1.98
Mn: 0.5132 0.1690 0.3333 (multiplicity 1)  5 O 1.86-1.90
Mn: 0.5360 0.5184 0.0068 (multiplicity 1)  5 O 1.84-1.98
Mn: 0.8572 0.9424 0.6639 (multiplicity 1)  5 O 1.79-1.93
Mn: 0.9856 0.6858 0.3406 (multiplicity 1)  5 O 1.82-1.98
P: 0.1710 0.3600 0.4536 (multiplicity 1)  3 O 1.47-1.63
P: 0.1962 0.0448 0.7836 (multiplicity 1)  4 O 1.54-1.55
P: 0.2185 0.7083 0.1147 (multiplicity 1)  4 O 1.53-1.59
P: 0.2978 0.8752 0.4469 (multiplicity 1)  4 O 1.54-1.57
P: 0.3172 0.5317 0.7809 (multiplicity 1)  4 O 1.47-1.65
P: 0.3439 0.1953 0.1178 (multiplicity 1)  2 O 1.46-1.54
P: 0.6685 0.1596 0.5556 (multiplicity 1)  2 O 1.46-1.54
P: 0.6938 0.8237 0.8956 (multiplicity 1)  4 O 1.47-1.65
P: 0.7093 0.4794 0.2266 (multiplicity 1)  4 O 1.54-1.57
P: 0.7940 0.6477 0.5631 (multiplicity 1)  4 O 1.54-1.57
P: 0.8141 0.3104 0.8942 (multiplicity 1)  4 O 1.54-1.55
P: 0.8258 0.9929 0.2270 (multiplicity 1)  4 O 1.50-1.57
O: 0.0378 0.2591 0.4125 (multiplicity 1)  1 P 1.47
O: 0.0564 0.9399 0.7381 (multiplicity 1)  1 P 1.55
O: 0.0892 0.5916 0.0700 (multiplicity 1)  1 P 1.56
O: 0.1070 0.8499 0.4065 (multiplicity 1)  1 P 1.55
O: 0.1213 0.5147 0.7413 (multiplicity 1)  1 P 1.57
O: 0.1446 0.2144 0.7622 (multiplicity 1)  1 P 1.54
O: 0.1458 0.8705 0.0903 (multiplicity 1)  1 P 1.53
O: 0.1468 0.2019 0.0643 (multiplicity 1)  1 P 1.64
O: 0.1465 0.5449 0.4230 (multiplicity 1)  1 P 1.65
O: 0.1871 0.3465 0.5731 (multiplicity 1)  1 P 1.54
O: 0.1940 0.0072 0.9027 (multiplicity 1)  1 P 1.54
O: 0.2066 0.6771 0.2379 (multiplicity 1)  1 P 1.59
O: 0.2940 0.8453 0.5689 (multiplicity 1)  1 P 1.57
O: 0.3121 0.5046 0.9089 (multiplicity 1)  1 P 1.65
O: 0.3227 0.1811 0.2376 (multiplicity 1)  1 P 1.54
O: 0.3528 0.7081 0.7641 (multiplicity 1)  1 P 1.57
O: 0.3657 0.0401 0.4232 (multiplicity 1)  1 P 1.54
O: 0.3682 0.3595 0.3984 (multiplicity 1)  1 P 1.63
O: 0.3700 0.3820 0.0906 (multiplicity 1)  1 P 1.66
O: 0.3785 0.0092 0.7331 (multiplicity 1)  1 P 1.54
O: 0.4094 0.6819 0.0735 (multiplicity 1)  1 P 1.54
O: 0.4303 0.7626 0.4006 (multiplicity 1)  1 P 1.54
O: 0.4578 0.4286 0.7460 (multiplicity 1)  1 P 1.47
O: 0.4743 0.0966 0.0707 (multiplicity 1)  1 P 1.46
O: 0.5376 0.2620 0.5993 (multiplicity 1)  1 P 1.46
O: 0.5520 0.9257 0.9304 (multiplicity 1)  1 P 1.47
O: 0.5714 0.5897 0.2695 (multiplicity 1)  1 P 1.54
O: 0.6017 0.6734 0.6038 (multiplicity 1)  1 P 1.55
O: 0.6311 0.3462 0.9439 (multiplicity 1)  1 P 1.54
O: 0.6316 0.0104 0.2728 (multiplicity 1)  1 P 1.57
O: 0.6406 0.9744 0.5857 (multiplicity 1)  1 P 1.66
O: 0.6503 0.3125 0.2489 (multiplicity 1)  1 P 1.54
O: 0.6581 0.6472 0.9108 (multiplicity 1)  1 P 1.57
O: 0.6919 0.1729 0.4361 (multiplicity 1)  1 P 1.54
O: 0.6993 0.8530 0.7679 (multiplicity 1)  1 P 1.65
O: 0.7174 0.5134 0.1055 (multiplicity 1)  1 P 1.57
O: 0.8008 0.6761 0.4419 (multiplicity 1)  1 P 1.56
O: 0.8152 0.3467 0.7751 (multiplicity 1)  1 P 1.54
O: 0.8267 0.0162 0.1050 (multiplicity 1)  1 P 1.57
O: 0.8635 0.1538 0.6120 (multiplicity 1)  1 P 1.64
O: 0.8664 0.1410 0.9157 (multiplicity 1)  1 P 1.54
O: 0.8659 0.4850 0.5895 (multiplicity 1)  1 P 1.54
O: 0.8656 0.8178 0.2505 (multiplicity 1)  1 P 1.57
O: 0.8884 0.8407 0.9374 (multiplicity 1)  1 P 1.57
O: 0.8932 0.5135 0.2720 (multiplicity 1)  1 P 1.55
O: 0.9221 0.7637 0.6099 (multiplicity 1)  1 P 1.57
O: 0.9529 0.4164 0.9394 (multiplicity 1)  1 P 1.55
O: 0.9624 0.1034 0.2602 (multiplicity 1)  1 P 1.50

Computed properties:
Its relative energy among the computed polymorphs is 38.8 meV per atom. The calculation puts the energy relative to the elements at -210.1 kJ per mole of atoms. Its crystal system is triclinic.

---

Entry 5:
Below is a relaxed MnPO4 crystal, with properties calculated at the PBE+U level.

a b c (Å): 5.3921 5.3959 6.2738
angles (deg): 102.94 102.88 118.70
Closest atoms and distances in Å follow each position.
Space group P1 (No. 1)
One atom of each set of equivalent atoms:
Mn: 0.0000 0.0000 0.0000 (multiplicity 1)  4 O 1.93-1.96
Mn: 0.2414 0.7593 0.5009 (multiplicity 1)  4 O 1.93-1.97
P: 0.3316 0.6684 0.0006 (multiplicity 1)  4 O 1.54-1.57
P: 0.5826 0.4175 0.5006 (multiplicity 1)  4 O 1.54-1.56
O: 0.1663 0.3192 0.8817 (multiplicity 1)  1 P 1.54
O: 0.1977 0.7560 0.1804 (multiplicity 1)  1 P 1.57
O: 0.2416 0.8019 0.8213 (multiplicity 1)  1 P 1.57
O: 0.2697 0.3192 0.3183 (multiplicity 1)  1 P 1.56
O: 0.5457 0.1946 0.6261 (multiplicity 1)  1 P 1.54
O: 0.6792 0.7302 0.6823 (multiplicity 1)  1 P 1.56
O: 0.6811 0.8348 0.1190 (multiplicity 1)  1 P 1.54
O: 0.8063 0.4551 0.3754 (multiplicity 1)  1 P 1.54

Computed properties:
The calculation puts the energy relative to the elements at -217.5 kJ per mole of atoms. Its crystal system is triclinic.

---

Entry 6:
Below is a relaxed Mn7P8O28 crystal, with properties calculated at the PBE+U level.

a b c (Å): 8.6798 9.9586 23.9544
angles (deg): 90.00 90.00 90.00
Closest atoms and distances in Å follow each position.
Space group C222_1 (No. 20)
One atom of each set of equivalent atoms:
Mn: 0.0000 0.2215 0.2500 (multiplicity 4)  6 O 2.06-2.28
Mn: 0.0679 0.1479 0.6234 (multiplicity 8)  4 O 1.92-2.13
Mn: 0.0725 0.5000 0.5000 (multiplicity 4)  4 O 2.10-2.17
Mn: 0.1812 0.3561 0.3644 (multiplicity 8)  5 O 2.16-2.24
Mn: 0.1902 0.0000 0.5000 (multiplicity 4)  6 O 2.20-2.29
P: 0.1078 0.2042 0.9949 (multiplicity 8)  4 O 1.52-1.61
P: 0.1177 0.1413 0.1190 (multiplicity 8)  4 O 1.51-1.63
P: 0.1267 0.4460 0.8764 (multiplicity 8)  4 O 1.54-1.61
P: 0.2403 0.0381 0.7319 (multiplicity 8)  4 O 1.51-1.63
O: 0.0042 0.2112 0.3452 (multiplicity 8)  1 P 1.53
O: 0.0182 0.4920 0.4027 (multiplicity 8)  1 P 1.54
O: 0.0329 0.1507 0.5392 (multiplicity 8)  1 P 1.56
O: 0.0514 0.1539 0.0554 (multiplicity 8)  2 P 1.61-1.63
O: 0.1136 0.1178 0.7009 (multiplicity 8)  1 P 1.55
O: 0.1162 0.3576 0.9964 (multiplicity 8)  1 P 1.53
O: 0.1211 0.0127 0.8713 (multiplicity 8)  1 P 1.55
O: 0.1253 0.2913 0.8720 (multiplicity 8)  1 P 1.54
O: 0.1260 0.4969 0.1865 (multiplicity 8)  2 P 1.61-1.63
O: 0.1708 0.3731 0.2737 (multiplicity 8)  1 P 1.54
O: 0.1822 0.0901 0.2423 (multiplicity 8)  1 P 1.51
O: 0.2233 0.2980 0.6199 (multiplicity 8)  1 P 1.51
O: 0.2244 0.0055 0.4052 (multiplicity 8)  1 P 1.54
O: 0.2406 0.3581 0.4770 (multiplicity 8)  1 P 1.52

Computed properties:
The calculation puts the energy relative to the elements at -246.1 kJ per mole of atoms. Its crystal system is orthorhombic.

---

Entry 7:
Below is a relaxed Mn3P4O16 crystal, with properties calculated at the PBE+U level.

a b c (Å): 5.9283 13.3701 8.2418
angles (deg): 90.00 99.09 90.00
Closest atoms and distances in Å follow each position.
Space group P2_1 (No. 4)
One atom of each set of equivalent atoms:
Mn: 0.0585 0.0000 0.2137 (multiplicity 2)  5 O 1.87-1.93
Mn: 0.3780 0.7682 0.8144 (multiplicity 2)  5 O 1.93-1.99
Mn: 0.4020 0.1333 0.7739 (multiplicity 2)  5 O 1.92-1.97
P: 0.0767 0.6537 0.0819 (multiplicity 2)  4 O 1.54-1.56
P: 0.1051 0.9408 0.5897 (multiplicity 2)  4 O 1.53-1.55
P: 0.3707 0.1898 0.3869 (multiplicity 2)  4 O 1.54-1.57
P: 0.4804 0.4658 0.9277 (multiplicity 2)  4 O 1.53-1.56
O: 0.0053 0.5496 0.0046 (multiplicity 2)  1 P 1.56
O: 0.1046 0.9155 0.4061 (multiplicity 2)  1 P 1.55
O: 0.1245 0.8406 0.6856 (multiplicity 2)  1 P 1.55
O: 0.1281 0.1936 0.8418 (multiplicity 2)  1 P 1.55
O: 0.1278 0.4843 0.3920 (multiplicity 2)  1 P 1.53
O: 0.1515 0.7254 0.9550 (multiplicity 2)  1 P 1.54
O: 0.1651 0.1200 0.3305 (multiplicity 2)  1 P 1.55
O: 0.2474 0.4601 0.8109 (multiplicity 2)  1 P 1.56
O: 0.2756 0.6426 0.2285 (multiplicity 2)  1 P 1.56
O: 0.3073 0.0090 0.6529 (multiplicity 2)  1 P 1.53
O: 0.3456 0.9494 0.1916 (multiplicity 2)  1 P 1.55
O: 0.3523 0.2899 0.2857 (multiplicity 2)  1 P 1.57
O: 0.3710 0.2124 0.5697 (multiplicity 2)  1 P 1.54
O: 0.3999 0.6530 0.6661 (multiplicity 2)  1 P 1.57
O: 0.4804 0.0686 0.9881 (multiplicity 2)  1 P 1.54
O: 0.4929 0.3749 0.0409 (multiplicity 2)  1 P 1.53

Computed properties:
Its relative energy among the computed polymorphs is 25.1 meV per atom. The calculation puts the energy relative to the elements at -211.4 kJ per mole of atoms. Its crystal system is monoclinic.

---

Entry 8:
Below is a relaxed Mn3P4O14 crystal, with properties calculated at the PBE+U level.

a b c (Å): 7.9708 8.3565 10.0963
angles (deg): 107.67 95.42 109.19
Closest atoms and distances in Å follow each position.
Space group P1 (No. 1)
One atom of each set of equivalent atoms:
Mn: 0.0000 0.0000 0.0000 (multiplicity 1)  5 O 1.95-2.10
Mn: 0.0579 0.3369 0.5256 (multiplicity 1)  4 O 1.91-1.93
Mn: 0.1191 0.6742 0.0515 (multiplicity 1)  5 O 1.97-2.13
Mn: 0.4979 0.9994 0.4995 (multiplicity 1)  5 O 1.97-2.13
Mn: 0.5589 0.3372 0.0254 (multiplicity 1)  4 O 1.91-1.93
Mn: 0.6183 0.6743 0.5510 (multiplicity 1)  5 O 1.95-2.10
P: 0.0489 0.2624 0.8228 (multiplicity 1)  4 O 1.51-1.63
P: 0.0680 0.4102 0.2276 (multiplicity 1)  4 O 1.52-1.63
P: 0.1675 0.0299 0.3243 (multiplicity 1)  4 O 1.50-1.61
P: 0.4496 0.6441 0.2269 (multiplicity 1)  4 O 1.50-1.61
P: 0.5489 0.2635 0.3235 (multiplicity 1)  4 O 1.52-1.63
P: 0.5682 0.4114 0.7283 (multiplicity 1)  4 O 1.51-1.63
P: 0.6683 0.0289 0.8246 (multiplicity 1)  4 O 1.51-1.61
P: 0.9490 0.6450 0.7266 (multiplicity 1)  4 O 1.51-1.61
O: 0.0296 0.7610 0.8902 (multiplicity 1)  1 P 1.58
O: 0.0317 0.1074 0.3879 (multiplicity 1)  1 P 1.53
O: 0.0483 0.2202 0.6631 (multiplicity 1)  1 P 1.54
O: 0.0683 0.4518 0.3873 (multiplicity 1)  1 P 1.54
O: 0.0846 0.5672 0.6633 (multiplicity 1)  1 P 1.53
O: 0.0874 0.9160 0.1604 (multiplicity 1)  1 P 1.58
O: 0.1259 0.1474 0.8828 (multiplicity 1)  1 P 1.53
O: 0.1377 0.4636 0.9082 (multiplicity 1)  1 P 1.51
O: 0.2314 0.9194 0.3951 (multiplicity 1)  1 P 1.50
O: 0.2814 0.4657 0.2173 (multiplicity 1)  2 P 1.61-1.63
O: 0.3357 0.2084 0.3340 (multiplicity 1)  2 P 1.61-1.63
O: 0.3857 0.7545 0.1560 (multiplicity 1)  1 P 1.50
O: 0.4797 0.2102 0.6430 (multiplicity 1)  1 P 1.51
O: 0.4914 0.5264 0.6682 (multiplicity 1)  1 P 1.53
O: 0.5297 0.7581 0.3908 (multiplicity 1)  1 P 1.58
O: 0.5326 0.1067 0.8879 (multiplicity 1)  1 P 1.53
O: 0.5483 0.2217 0.1638 (multiplicity 1)  1 P 1.54
O: 0.5687 0.4535 0.8880 (multiplicity 1)  1 P 1.54
O: 0.5852 0.5664 0.1633 (multiplicity 1)  1 P 1.53
O: 0.5877 0.9131 0.6609 (multiplicity 1)  1 P 1.58
O: 0.6277 0.1503 0.3836 (multiplicity 1)  1 P 1.52
O: 0.6367 0.4656 0.4087 (multiplicity 1)  1 P 1.52
O: 0.7338 0.9202 0.8967 (multiplicity 1)  1 P 1.51
O: 0.7818 0.4668 0.7183 (multiplicity 1)  2 P 1.61-1.63
O: 0.8355 0.2072 0.8330 (multiplicity 1)  2 P 1.61-1.63
O: 0.8837 0.7538 0.6544 (multiplicity 1)  1 P 1.51
O: 0.9807 0.2080 0.1424 (multiplicity 1)  1 P 1.52
O: 0.9890 0.5231 0.1675 (multiplicity 1)  1 P 1.52

Computed properties:
Its relative energy among the computed polymorphs is 25.1 meV per atom. The calculation puts the energy relative to the elements at -237.9 kJ per mole of atoms. Its crystal system is triclinic.